Entry 1:
The following is a DFT calculation (PBE with a Hubbard U) of an optimized crystal structure of Mg6TiFeO8.

Cell: 8.699 4.275 4.275 Å, 90.00 90.00 90.00°
Positions (direct):
Mg: 0.000 0.500 0.500
O: 0.750 0.500 0.500
O: 0.500 0.000 0.500
Mg: 0.758 0.000 0.500
O: 0.500 0.500 0.000
O: 0.736 0.000 0.000
Mg: 0.500 0.500 0.500
O: 0.000 0.000 0.500
Mg: 0.758 0.500 0.000
Mg: 0.242 0.000 0.500
O: 0.000 0.500 0.000
Mg: 0.242 0.500 0.000
O: 0.250 0.500 0.500
Fe: 0.000 0.000 0.000
O: 0.264 0.000 0.000
Ti: 0.500 0.000 0.000

Calculated values
Energy of formation = -2701 meV/atom
Uncorrected energy = -6.31 eV/atom


Entry 2:
The following is a DFT calculation (PBE with a Hubbard U) of an optimized crystal structure of MnO4.

Cell: 6.410 6.410 6.410 Å, 126.72 126.72 78.70°
Positions (direct):
O: 0.574 0.845 0.729
O: 0.634 0.405 0.229
O: 0.176 0.405 0.771
Mn: 0.250 0.750 0.500
O: 0.155 0.884 0.729
O: 0.595 0.366 0.771
Mn: 0.500 0.500 0.000
O: 0.116 0.845 0.271
O: 0.595 0.824 0.229
O: 0.155 0.426 0.271

Calculated values
Energy of formation = -573 meV/atom
Uncorrected energy = -5.48 eV/atom